This record from the Materials Project database describes a relaxed Na6Sc4Ga4Si3S9O48 crystal. The functional is PBE.

abc: 8.787 15.254 22.642
angles: 90.53 90.22 90.10
Space group P1 (No. 1)
Asymmetric unit:
1 Na 0.000 0.000 0.000 [1 per cell]
2 Na 0.000 0.317 0.175 [1 per cell]
3 Na 0.005 0.001 0.505 [1 per cell]
4 Na 0.131 0.489 0.259 [1 per cell]
5 Na 0.135 0.830 0.915 [1 per cell]
6 Na 0.358 0.329 0.422 [1 per cell]
7 Na 0.361 0.990 0.747 [1 per cell]
8 Na 0.486 0.827 0.670 [1 per cell]
9 Na 0.491 0.500 0.503 [1 per cell]
10 Na 0.495 0.159 0.834 [1 per cell]
11 Na 0.499 0.500 0.999 [1 per cell]
12 Na 0.502 0.152 0.341 [1 per cell]
13 Na 0.509 0.827 0.175 [1 per cell]
14 Na 0.638 0.330 0.915 [1 per cell]
15 Na 0.850 0.831 0.421 [1 per cell]
16 Na 0.983 0.324 0.673 [1 per cell]
17 Na 0.990 0.652 0.837 [1 per cell]
18 Na 0.994 0.662 0.339 [1 per cell]
19 Sc 0.002 0.663 0.694 [1 per cell]
20 Sc 0.004 0.329 0.521 [1 per cell]
21 Sc 0.010 0.987 0.651 [1 per cell]
22 Sc 0.487 0.830 0.020 [1 per cell]
23 Sc 0.488 0.486 0.154 [1 per cell]
24 Sc 0.490 0.162 0.195 [1 per cell]
25 Sc 0.498 0.841 0.525 [1 per cell]
26 Sc 0.503 0.489 0.653 [1 per cell]
27 Sc 0.506 0.834 0.319 [1 per cell]
28 Sc 0.984 0.334 0.817 [1 per cell]
29 Sc 0.986 0.989 0.154 [1 per cell]
30 Sc 0.988 0.332 0.020 [1 per cell]
31 Ga 0.003 0.651 0.485 [1 per cell]
32 Ga 0.007 0.330 0.323 [1 per cell]
33 Ga 0.010 0.990 0.852 [1 per cell]
34 Ga 0.485 0.490 0.357 [1 per cell]
35 Ga 0.487 0.151 0.984 [1 per cell]
36 Ga 0.487 0.833 0.820 [1 per cell]
37 Ga 0.499 0.141 0.489 [1 per cell]
38 Ga 0.502 0.164 0.686 [1 per cell]
39 Ga 0.515 0.486 0.850 [1 per cell]
40 Ga 0.980 0.987 0.354 [1 per cell]
41 Ga 0.988 0.654 0.985 [1 per cell]
42 Ga 0.988 0.668 0.191 [1 per cell]
43 Si 0.143 0.478 0.419 [1 per cell]
44 Si 0.146 0.844 0.759 [1 per cell]
45 Si 0.345 0.345 0.259 [1 per cell]
46 Si 0.346 0.977 0.919 [1 per cell]
47 Si 0.352 0.019 0.591 [1 per cell]
48 Si 0.636 0.339 0.753 [1 per cell]
49 Si 0.649 0.981 0.421 [1 per cell]
50 Si 0.844 0.480 0.921 [1 per cell]
51 Si 0.851 0.842 0.255 [1 per cell]
52 S 0.137 0.519 0.089 [1 per cell]
53 S 0.138 0.800 0.086 [1 per cell]
54 S 0.141 0.139 0.756 [1 per cell]
55 S 0.141 0.177 0.418 [1 per cell]
56 S 0.199 0.826 0.421 [1 per cell]
57 S 0.204 0.160 0.086 [1 per cell]
58 S 0.212 0.492 0.756 [1 per cell]
59 S 0.280 0.992 0.256 [1 per cell]
60 S 0.287 0.658 0.586 [1 per cell]
61 S 0.291 0.326 0.922 [1 per cell]
62 S 0.347 0.638 0.253 [1 per cell]
63 S 0.350 0.677 0.920 [1 per cell]
64 S 0.353 0.303 0.585 [1 per cell]
65 S 0.637 0.641 0.757 [1 per cell]
66 S 0.639 0.301 0.085 [1 per cell]
67 S 0.641 0.016 0.086 [1 per cell]
68 S 0.641 0.675 0.421 [1 per cell]
69 S 0.707 0.328 0.418 [1 per cell]
70 S 0.707 0.659 0.088 [1 per cell]
71 S 0.711 0.991 0.758 [1 per cell]
72 S 0.785 0.492 0.255 [1 per cell]
73 S 0.785 0.826 0.920 [1 per cell]
74 S 0.786 0.161 0.587 [1 per cell]
75 S 0.847 0.175 0.921 [1 per cell]
76 S 0.850 0.516 0.586 [1 per cell]
77 S 0.852 0.799 0.584 [1 per cell]
78 S 0.855 0.141 0.257 [1 per cell]
79 O 0.064 0.574 0.427 [1 per cell]
80 O 0.068 0.435 0.358 [1 per cell]
81 O 0.069 0.430 0.084 [1 per cell]
82 O 0.069 0.747 0.751 [1 per cell]
83 O 0.070 0.215 0.472 [1 per cell]
84 O 0.071 0.100 0.702 [1 per cell]
85 O 0.071 0.888 0.090 [1 per cell]
86 O 0.072 0.885 0.819 [1 per cell]
87 O 0.075 0.559 0.145 [1 per cell]
88 O 0.075 0.759 0.030 [1 per cell]
89 O 0.079 0.228 0.763 [1 per cell]
90 O 0.081 0.088 0.410 [1 per cell]
91 O 0.088 0.751 0.427 [1 per cell]
92 O 0.106 0.572 0.036 [1 per cell]
93 O 0.107 0.080 0.090 [1 per cell]
94 O 0.107 0.568 0.752 [1 per cell]
95 O 0.107 0.746 0.138 [1 per cell]
96 O 0.107 0.908 0.416 [1 per cell]
97 O 0.108 0.239 0.082 [1 per cell]
98 O 0.111 0.085 0.809 [1 per cell]
99 O 0.113 0.235 0.366 [1 per cell]
100 O 0.119 0.409 0.474 [1 per cell]
101 O 0.120 0.909 0.703 [1 per cell]
102 O 0.122 0.411 0.760 [1 per cell]
103 O 0.156 0.337 0.262 [1 per cell]
104 O 0.158 0.986 0.914 [1 per cell]
105 O 0.167 0.007 0.594 [1 per cell]
106 O 0.177 0.639 0.246 [1 per cell]
107 O 0.179 0.676 0.928 [1 per cell]
108 O 0.184 0.310 0.582 [1 per cell]
109 O 0.185 0.007 0.309 [1 per cell]
110 O 0.189 0.985 0.201 [1 per cell]
111 O 0.190 0.646 0.532 [1 per cell]
112 O 0.192 0.668 0.640 [1 per cell]
113 O 0.196 0.335 0.976 [1 per cell]
114 O 0.200 0.309 0.869 [1 per cell]
115 O 0.290 0.808 0.368 [1 per cell]
116 O 0.294 0.834 0.474 [1 per cell]
117 O 0.299 0.170 0.140 [1 per cell]
118 O 0.300 0.149 0.032 [1 per cell]
119 O 0.302 0.486 0.702 [1 per cell]
120 O 0.305 0.511 0.092 [1 per cell]
121 O 0.306 0.807 0.082 [1 per cell]
122 O 0.308 0.507 0.810 [1 per cell]
123 O 0.309 0.143 0.752 [1 per cell]
124 O 0.311 0.177 0.425 [1 per cell]
125 O 0.332 0.485 0.415 [1 per cell]
126 O 0.335 0.836 0.762 [1 per cell]
127 O 0.368 0.910 0.975 [1 per cell]
128 O 0.369 0.409 0.201 [1 per cell]
129 O 0.370 0.910 0.259 [1 per cell]
130 O 0.373 0.583 0.306 [1 per cell]
131 O 0.374 0.735 0.869 [1 per cell]
132 O 0.376 0.077 0.533 [1 per cell]
133 O 0.382 0.578 0.590 [1 per cell]
134 O 0.384 0.736 0.581 [1 per cell]
135 O 0.385 0.407 0.918 [1 per cell]
136 O 0.386 0.068 0.251 [1 per cell]
137 O 0.386 0.252 0.638 [1 per cell]
138 O 0.401 0.251 0.929 [1 per cell]
139 O 0.405 0.728 0.260 [1 per cell]
140 O 0.408 0.588 0.912 [1 per cell]
141 O 0.416 0.264 0.529 [1 per cell]
142 O 0.417 0.393 0.590 [1 per cell]
143 O 0.418 0.599 0.200 [1 per cell]
144 O 0.421 0.715 0.974 [1 per cell]
145 O 0.422 0.249 0.250 [1 per cell]
146 O 0.422 0.390 0.317 [1 per cell]
147 O 0.424 0.064 0.653 [1 per cell]
148 O 0.424 0.932 0.860 [1 per cell]
149 O 0.426 0.074 0.927 [1 per cell]
150 O 0.431 0.921 0.586 [1 per cell]
151 O 0.555 0.242 0.745 [1 per cell]
152 O 0.565 0.380 0.815 [1 per cell]
153 O 0.567 0.603 0.703 [1 per cell]
154 O 0.570 0.713 0.474 [1 per cell]
155 O 0.571 0.390 0.089 [1 per cell]
156 O 0.573 0.078 0.427 [1 per cell]
157 O 0.573 0.927 0.081 [1 per cell]
158 O 0.573 0.934 0.363 [1 per cell]
159 O 0.574 0.731 0.765 [1 per cell]
160 O 0.578 0.260 0.030 [1 per cell]
161 O 0.580 0.057 0.140 [1 per cell]
162 O 0.582 0.585 0.411 [1 per cell]
163 O 0.598 0.254 0.424 [1 per cell]
164 O 0.604 0.250 0.138 [1 per cell]
165 O 0.605 0.067 0.755 [1 per cell]
166 O 0.605 0.405 0.698 [1 per cell]
167 O 0.608 0.587 0.810 [1 per cell]
168 O 0.609 0.069 0.032 [1 per cell]
169 O 0.611 0.580 0.092 [1 per cell]
170 O 0.611 0.738 0.083 [1 per cell]
171 O 0.615 0.411 0.414 [1 per cell]
172 O 0.616 0.731 0.369 [1 per cell]
173 O 0.617 0.909 0.762 [1 per cell]
174 O 0.626 0.914 0.476 [1 per cell]
175 O 0.655 0.486 0.914 [1 per cell]
176 O 0.667 0.830 0.258 [1 per cell]
177 O 0.677 0.174 0.929 [1 per cell]
178 O 0.681 0.508 0.589 [1 per cell]
179 O 0.685 0.802 0.581 [1 per cell]
180 O 0.687 0.147 0.250 [1 per cell]
181 O 0.692 0.483 0.201 [1 per cell]
182 O 0.692 0.510 0.308 [1 per cell]
183 O 0.692 0.809 0.867 [1 per cell]
184 O 0.692 0.834 0.974 [1 per cell]
185 O 0.693 0.153 0.532 [1 per cell]
186 O 0.694 0.177 0.641 [1 per cell]
187 O 0.800 0.337 0.472 [1 per cell]
188 O 0.800 0.983 0.703 [1 per cell]
189 O 0.802 0.312 0.365 [1 per cell]
190 O 0.802 0.648 0.034 [1 per cell]
191 O 0.802 0.670 0.142 [1 per cell]
192 O 0.805 0.646 0.751 [1 per cell]
193 O 0.807 0.004 0.812 [1 per cell]
194 O 0.808 0.309 0.083 [1 per cell]
195 O 0.810 0.008 0.089 [1 per cell]
196 O 0.812 0.672 0.428 [1 per cell]
197 O 0.821 0.329 0.758 [1 per cell]
198 O 0.838 0.986 0.414 [1 per cell]
199 O 0.866 0.414 0.978 [1 per cell]
200 O 0.873 0.232 0.870 [1 per cell]
201 O 0.876 0.081 0.593 [1 per cell]
202 O 0.877 0.411 0.259 [1 per cell]
203 O 0.878 0.908 0.917 [1 per cell]
204 O 0.881 0.568 0.532 [1 per cell]
205 O 0.884 0.904 0.197 [1 per cell]
206 O 0.885 0.087 0.309 [1 per cell]
207 O 0.888 0.239 0.582 [1 per cell]
208 O 0.890 0.748 0.637 [1 per cell]
209 O 0.894 0.567 0.249 [1 per cell]
210 O 0.895 0.751 0.927 [1 per cell]
211 O 0.908 0.086 0.914 [1 per cell]
212 O 0.912 0.556 0.640 [1 per cell]
213 O 0.916 0.888 0.589 [1 per cell]
214 O 0.917 0.426 0.580 [1 per cell]
215 O 0.917 0.758 0.529 [1 per cell]
216 O 0.918 0.231 0.264 [1 per cell]
217 O 0.919 0.214 0.975 [1 per cell]
218 O 0.920 0.432 0.864 [1 per cell]
219 O 0.922 0.104 0.202 [1 per cell]
220 O 0.925 0.576 0.929 [1 per cell]
221 O 0.925 0.885 0.315 [1 per cell]
222 O 0.934 0.745 0.248 [1 per cell]

Output
Energy, Ry per atom: -0.4806
Calculated formation energy, meV/atom: -2438